No. 1
# Li3Mo3P3O17, optimized geometry, DFT PBE with a Hubbard U
# Total energy, eV for the cell shown: -720.718
# Energy of formation from the pure elements, eV per formula unit: -62.8
# Total magnetic moment, μB/f.u.: 2.0
# Space group: P-1 (2)
data_Li3Mo3P3O17
_chemical_formula_sum 'Li12 Mo12 P12 O68'
_space_group_name_H-M_alt 'P 1'
_space_group_IT_number 1
_space_group_name_Hall 'P 1'
_cell_length_a 8.423
_cell_length_b 12.172
_cell_length_c 12.983
_cell_angle_alpha 89.81
_cell_angle_beta 89.82
_cell_angle_gamma 82.82
loop_
_atom_site_label
_atom_site_type_symbol
_atom_site_fract_x
_atom_site_fract_y
_atom_site_fract_z
_atom_site_occupancy
Li1 Li 0.136 0.133 0.127 1
Li2 Li 0.144 0.794 0.245 1
Li3 Li 0.217 0.309 0.569 1
Li4 Li 0.287 0.692 0.068 1
Li5 Li 0.353 0.206 0.747 1
Li6 Li 0.361 0.865 0.624 1
Li7 Li 0.639 0.135 0.376 1
Li8 Li 0.647 0.794 0.253 1
Li9 Li 0.713 0.308 0.932 1
Li10 Li 0.783 0.691 0.431 1
Li11 Li 0.856 0.206 0.755 1
Li12 Li 0.864 0.867 0.873 1
Mo1 Mo 0.152 0.394 0.128 1
Mo2 Mo 0.189 0.520 0.382 1
Mo3 Mo 0.248 0.985 0.885 1
Mo4 Mo 0.254 0.013 0.385 1
Mo5 Mo 0.315 0.478 0.881 1
Mo6 Mo 0.345 0.604 0.630 1
Mo7 Mo 0.655 0.396 0.370 1
Mo8 Mo 0.685 0.522 0.119 1
Mo9 Mo 0.746 0.987 0.615 1
Mo10 Mo 0.752 0.015 0.115 1
Mo11 Mo 0.811 0.480 0.618 1
Mo12 Mo 0.848 0.606 0.872 1
P1 P 0.061 0.274 0.350 1
P2 P 0.100 0.264 0.907 1
P3 P 0.144 0.054 0.638 1
P4 P 0.356 0.946 0.139 1
P5 P 0.403 0.734 0.405 1
P6 P 0.440 0.727 0.845 1
P7 P 0.560 0.273 0.155 1
P8 P 0.597 0.266 0.595 1
P9 P 0.644 0.054 0.861 1
P10 P 0.856 0.946 0.362 1
P11 P 0.900 0.736 0.093 1
P12 P 0.939 0.726 0.650 1
O1 O 0.007 0.421 0.603 1
O2 O 0.040 0.937 0.347 1
O3 O 0.049 0.551 0.888 1
O4 O 0.069 0.694 0.125 1
O5 O 0.073 0.926 0.904 1
O6 O 0.095 0.272 0.232 1
O7 O 0.106 0.157 0.395 1
O8 O 0.116 0.692 0.628 1
O9 O 0.128 0.264 0.027 1
O10 O 0.144 0.144 0.868 1
O11 O 0.164 0.354 0.407 1
O12 O 0.195 0.483 0.235 1
O13 O 0.198 0.169 0.640 1
O14 O 0.201 0.986 0.538 1
O15 O 0.226 0.330 0.853 1
O16 O 0.232 0.976 0.724 1
O17 O 0.252 0.466 0.027 1
O18 O 0.268 0.024 0.224 1
O19 O 0.272 0.670 0.353 1
O20 O 0.276 0.523 0.736 1
O21 O 0.277 0.523 0.524 1
O22 O 0.299 0.012 0.038 1
O23 O 0.303 0.831 0.142 1
O24 O 0.353 0.642 0.909 1
O25 O 0.358 0.855 0.370 1
O26 O 0.379 0.733 0.731 1
O27 O 0.380 0.303 0.153 1
O28 O 0.386 0.729 0.525 1
O29 O 0.396 0.841 0.896 1
O30 O 0.428 0.073 0.403 1
O31 O 0.431 0.308 0.633 1
O32 O 0.451 0.450 0.365 1
O33 O 0.460 0.062 0.847 1
O34 O 0.489 0.582 0.119 1
O35 O 0.511 0.418 0.881 1
O36 O 0.540 0.938 0.153 1
O37 O 0.549 0.550 0.635 1
O38 O 0.569 0.692 0.367 1
O39 O 0.572 0.927 0.597 1
O40 O 0.604 0.159 0.104 1
O41 O 0.614 0.271 0.475 1
O42 O 0.620 0.697 0.847 1
O43 O 0.621 0.267 0.269 1
O44 O 0.642 0.145 0.630 1
O45 O 0.647 0.358 0.091 1
O46 O 0.697 0.169 0.858 1
O47 O 0.701 0.988 0.962 1
O48 O 0.723 0.477 0.476 1
O49 O 0.724 0.477 0.264 1
O50 O 0.728 0.330 0.647 1
O51 O 0.732 0.976 0.776 1
O52 O 0.748 0.534 0.973 1
O53 O 0.768 0.024 0.276 1
O54 O 0.774 0.670 0.147 1
O55 O 0.799 0.014 0.462 1
O56 O 0.802 0.831 0.360 1
O57 O 0.805 0.517 0.765 1
O58 O 0.836 0.646 0.593 1
O59 O 0.856 0.856 0.132 1
O60 O 0.872 0.736 0.973 1
O61 O 0.884 0.308 0.372 1
O62 O 0.894 0.843 0.605 1
O63 O 0.905 0.728 0.768 1
O64 O 0.927 0.074 0.096 1
O65 O 0.931 0.306 0.875 1
O66 O 0.951 0.449 0.112 1
O67 O 0.960 0.063 0.653 1
O68 O 0.993 0.579 0.397 1

No. 2
# LiMo2P3O12, optimized geometry, DFT PBE with a Hubbard U
# Relative energy among the computed polymorphs, eV/atom: 0.004
# Total energy, eV for the cell shown: -259.246
# Energy of formation from the pure elements, eV per formula unit: -45.1
# Total magnetic moment, μB/f.u.: 4.0
# Space group: P-1 (2)
data_LiMo2P3O12
_chemical_formula_sum 'Li2 Mo4 P6 O24'
_space_group_name_H-M_alt 'P 1'
_space_group_IT_number 1
_space_group_name_Hall 'P 1'
_cell_length_a 8.630
_cell_length_b 8.642
_cell_length_c 9.016
_cell_angle_alpha 90.74
_cell_angle_beta 118.36
_cell_angle_gamma 119.24
loop_
_atom_site_label
_atom_site_type_symbol
_atom_site_fract_x
_atom_site_fract_y
_atom_site_fract_z
_atom_site_occupancy
Li1 Li 0.149 0.186 0.411 1
Li2 Li 0.851 0.814 0.589 1
Mo1 Mo 0.292 0.645 0.434 1
Mo2 Mo 0.296 0.140 0.930 1
Mo3 Mo 0.704 0.860 0.070 1
Mo4 Mo 0.708 0.355 0.566 1
P1 P 0.213 0.743 0.754 1
P2 P 0.220 0.975 0.253 1
P3 P 0.493 0.459 0.746 1
P4 P 0.507 0.541 0.254 1
P5 P 0.780 0.025 0.747 1
P6 P 0.787 0.257 0.246 1
O1 O 0.006 0.920 0.225 1
O2 O 0.028 0.547 0.714 1
O3 O 0.149 0.884 0.749 1
O4 O 0.220 0.998 0.085 1
O5 O 0.267 0.750 0.612 1
O6 O 0.268 0.828 0.306 1
O7 O 0.328 0.459 0.567 1
O8 O 0.332 0.532 0.269 1
O9 O 0.357 0.267 0.760 1
O10 O 0.381 0.166 0.407 1
O11 O 0.403 0.380 0.094 1
O12 O 0.410 0.804 0.939 1
O13 O 0.590 0.196 0.061 1
O14 O 0.597 0.620 0.906 1
O15 O 0.619 0.834 0.593 1
O16 O 0.643 0.733 0.240 1
O17 O 0.668 0.468 0.731 1
O18 O 0.672 0.541 0.433 1
O19 O 0.732 0.172 0.694 1
O20 O 0.733 0.250 0.388 1
O21 O 0.780 0.002 0.915 1
O22 O 0.851 0.116 0.251 1
O23 O 0.972 0.453 0.286 1
O24 O 0.994 0.080 0.775 1

No. 3
# LiMo4P7O24, optimized geometry, DFT PBE with a Hubbard U
# Total energy, eV for the cell shown: -524.147
# Energy of formation from the pure elements, eV per formula unit: -89.4
# Total magnetic moment, μB/f.u.: 12.0
# Space group: P-1 (2)
data_LiMo4P7O24
_chemical_formula_sum 'Li2 Mo8 P14 O48'
_space_group_name_H-M_alt 'P 1'
_space_group_IT_number 1
_space_group_name_Hall 'P 1'
_cell_length_a 10.579
_cell_length_b 10.603
_cell_length_c 11.083
_cell_angle_alpha 108.37
_cell_angle_beta 111.60
_cell_angle_gamma 104.89
loop_
_atom_site_label
_atom_site_type_symbol
_atom_site_fract_x
_atom_site_fract_y
_atom_site_fract_z
_atom_site_occupancy
Li1 Li 0.122 0.252 0.148 1
Li2 Li 0.878 0.748 0.852 1
Mo1 Mo 0.001 0.901 0.246 1
Mo2 Mo 0.010 0.661 0.386 1
Mo3 Mo 0.483 0.825 0.912 1
Mo4 Mo 0.497 0.618 0.424 1
Mo5 Mo 0.503 0.382 0.576 1
Mo6 Mo 0.517 0.175 0.088 1
Mo7 Mo 0.990 0.339 0.614 1
Mo8 Mo 0.999 0.099 0.754 1
P1 P 0.236 0.175 0.624 1
P2 P 0.237 0.961 0.744 1
P3 P 0.245 0.606 0.983 1
P4 P 0.249 0.536 0.548 1
P5 P 0.267 0.779 0.268 1
P6 P 0.298 0.056 0.235 1
P7 P 0.305 0.374 0.067 1
P8 P 0.695 0.626 0.933 1
P9 P 0.702 0.944 0.765 1
P10 P 0.733 0.221 0.732 1
P11 P 0.751 0.464 0.452 1
P12 P 0.755 0.394 0.017 1
P13 P 0.763 0.039 0.256 1
P14 P 0.764 0.825 0.376 1
O1 O 0.106 0.507 0.838 1
O2 O 0.125 0.989 0.154 1
O3 O 0.129 0.984 0.800 1
O4 O 0.130 0.221 0.682 1
O5 O 0.136 0.269 0.975 1
O6 O 0.136 0.778 0.297 1
O7 O 0.140 0.400 0.537 1
O8 O 0.145 0.064 0.465 1
O9 O 0.162 0.568 0.424 1
O10 O 0.168 0.826 0.602 1
O11 O 0.187 0.660 0.099 1
O12 O 0.308 0.101 0.721 1
O13 O 0.330 0.426 0.224 1
O14 O 0.330 0.663 0.700 1
O15 O 0.334 0.516 0.036 1
O16 O 0.347 0.936 0.283 1
O17 O 0.352 0.742 0.000 1
O18 O 0.356 0.068 0.132 1
O19 O 0.362 0.195 0.371 1
O20 O 0.370 0.308 0.665 1
O21 O 0.372 0.500 0.510 1
O22 O 0.379 0.974 0.869 1
O23 O 0.381 0.747 0.364 1
O24 O 0.408 0.312 0.036 1
O25 O 0.592 0.688 0.964 1
O26 O 0.619 0.253 0.636 1
O27 O 0.621 0.026 0.131 1
O28 O 0.628 0.500 0.490 1
O29 O 0.630 0.692 0.335 1
O30 O 0.638 0.805 0.629 1
O31 O 0.644 0.932 0.868 1
O32 O 0.648 0.258 0.000 1
O33 O 0.653 0.064 0.717 1
O34 O 0.666 0.484 0.964 1
O35 O 0.670 0.337 0.300 1
O36 O 0.670 0.574 0.776 1
O37 O 0.692 0.899 0.279 1
O38 O 0.813 0.340 0.901 1
O39 O 0.832 0.174 0.398 1
O40 O 0.838 0.432 0.576 1
O41 O 0.855 0.936 0.535 1
O42 O 0.860 0.600 0.463 1
O43 O 0.864 0.222 0.703 1
O44 O 0.864 0.731 0.025 1
O45 O 0.870 0.779 0.318 1
O46 O 0.871 0.016 0.200 1
O47 O 0.875 0.011 0.846 1
O48 O 0.894 0.493 0.162 1

No. 4
# LiMoP2O7, optimized geometry, DFT PBE with a Hubbard U
# Maximum piezoelectric response, C/m2: 0.26
# Relative energy among the computed polymorphs, eV/atom: 0.028
# Total energy, eV for the cell shown: -78.312
# Energy of formation from the pure elements, eV per formula unit: -28.1
# Total magnetic moment, μB/f.u.: 3.0
# Space group: C2 (5)
data_LiMoP2O7
_chemical_formula_sum 'Li1 Mo1 P2 O7'
_space_group_name_H-M_alt 'P 1'
_space_group_IT_number 1
_space_group_name_Hall 'P 1'
_cell_length_a 5.407
_cell_length_b 5.407
_cell_length_c 4.596
_cell_angle_alpha 98.11
_cell_angle_beta 98.11
_cell_angle_gamma 103.25
loop_
_atom_site_label
_atom_site_type_symbol
_atom_site_fract_x
_atom_site_fract_y
_atom_site_fract_z
_atom_site_occupancy
Li1 Li 0.000 0.000 0.000 1
Mo1 Mo 0.626 0.374 0.000 1
P1 P 0.084 0.505 0.588 1
P2 P 0.495 0.916 0.412 1
O1 O 0.227 0.773 0.500 1
O2 O 0.273 0.378 0.746 1
O3 O 0.398 0.093 0.211 1
O4 O 0.622 0.727 0.254 1
O5 O 0.673 0.057 0.710 1
O6 O 0.907 0.602 0.789 1
O7 O 0.943 0.327 0.290 1

No. 5
# LiMo8P8O44, optimized geometry, DFT PBE with a Hubbard U
# Total energy, eV for the cell shown: -433.098
# Energy of formation from the pure elements, eV per formula unit: -139.3
# Total magnetic moment, μB/f.u.: 1.0
# Space group: P-1 (2)
data_LiMo8P8O44
_chemical_formula_sum 'Li1 Mo8 P8 O44'
_space_group_name_H-M_alt 'P 1'
_space_group_IT_number 1
_space_group_name_Hall 'P 1'
_cell_length_a 9.973
_cell_length_b 10.004
_cell_length_c 10.217
_cell_angle_alpha 66.99
_cell_angle_beta 67.29
_cell_angle_gamma 80.56
loop_
_atom_site_label
_atom_site_type_symbol
_atom_site_fract_x
_atom_site_fract_y
_atom_site_fract_z
_atom_site_occupancy
Li1 Li 0.000 0.000 0.000 1
Mo1 Mo 0.036 0.781 0.851 1
Mo2 Mo 0.077 0.324 0.706 1
Mo3 Mo 0.424 0.175 0.293 1
Mo4 Mo 0.465 0.715 0.144 1
Mo5 Mo 0.535 0.285 0.856 1
Mo6 Mo 0.576 0.825 0.707 1
Mo7 Mo 0.923 0.676 0.294 1
Mo8 Mo 0.964 0.219 0.149 1
P1 P 0.206 0.458 0.327 1
P2 P 0.220 0.469 0.881 1
P3 P 0.279 0.032 0.117 1
P4 P 0.292 0.044 0.671 1
P5 P 0.708 0.956 0.329 1
P6 P 0.721 0.968 0.883 1
P7 P 0.780 0.531 0.119 1
P8 P 0.794 0.542 0.673 1
O1 O 0.002 0.770 0.090 1
O2 O 0.007 0.762 0.356 1
O3 O 0.051 0.808 0.673 1
O4 O 0.062 0.507 0.298 1
O5 O 0.118 0.367 0.038 1
O6 O 0.123 0.060 0.112 1
O7 O 0.171 0.938 0.805 1
O8 O 0.186 0.626 0.883 1
O9 O 0.197 0.454 0.482 1
O10 O 0.201 0.452 0.748 1
O11 O 0.250 0.312 0.304 1
O12 O 0.254 0.194 0.689 1
O13 O 0.292 0.050 0.251 1
O14 O 0.299 0.047 0.518 1
O15 O 0.320 0.874 0.115 1
O16 O 0.323 0.573 0.199 1
O17 O 0.377 0.432 0.883 1
O18 O 0.383 0.135 0.961 1
O19 O 0.438 0.997 0.698 1
O20 O 0.448 0.697 0.322 1
O21 O 0.491 0.738 0.648 1
O22 O 0.496 0.743 0.910 1
O23 O 0.504 0.257 0.090 1
O24 O 0.509 0.262 0.352 1
O25 O 0.552 0.303 0.678 1
O26 O 0.562 0.003 0.302 1
O27 O 0.617 0.865 0.039 1
O28 O 0.623 0.568 0.117 1
O29 O 0.677 0.427 0.801 1
O30 O 0.680 0.126 0.885 1
O31 O 0.701 0.953 0.482 1
O32 O 0.708 0.950 0.749 1
O33 O 0.746 0.806 0.311 1
O34 O 0.750 0.688 0.696 1
O35 O 0.799 0.548 0.252 1
O36 O 0.803 0.546 0.518 1
O37 O 0.814 0.374 0.117 1
O38 O 0.829 0.062 0.195 1
O39 O 0.877 0.940 0.888 1
O40 O 0.882 0.633 0.962 1
O41 O 0.938 0.493 0.702 1
O42 O 0.949 0.192 0.327 1
O43 O 0.993 0.238 0.644 1
O44 O 0.998 0.230 0.910 1

No. 6
# LiMoP2O8, optimized geometry, DFT PBE with a Hubbard U
# Relative energy among the computed polymorphs, eV/atom: 0.052
# Total energy, eV for the cell shown: -83.874
# Energy of formation from the pure elements, eV per formula unit: -29.4
# Total magnetic moment, μB/f.u.: 1.0
# Space group: P1 (1)
data_LiMoP2O8
_chemical_formula_sum 'Li1 Mo1 P2 O8'
_space_group_name_H-M_alt 'P 1'
_space_group_IT_number 1
_space_group_name_Hall 'P 1'
_cell_length_a 4.981
_cell_length_b 5.053
_cell_length_c 8.485
_cell_angle_alpha 94.04
_cell_angle_beta 90.94
_cell_angle_gamma 119.01
loop_
_atom_site_label
_atom_site_type_symbol
_atom_site_fract_x
_atom_site_fract_y
_atom_site_fract_z
_atom_site_occupancy
Li1 Li 0.000 0.000 0.000 1
Mo1 Mo 0.394 0.299 0.439 1
P1 P 0.061 0.612 0.233 1
P2 P 0.729 0.993 0.644 1
O1 O 0.002 0.647 0.064 1
O2 O 0.020 0.078 0.541 1
O3 O 0.151 0.358 0.252 1
O4 O 0.319 0.912 0.320 1
O5 O 0.474 0.681 0.567 1
O6 O 0.627 0.233 0.612 1
O7 O 0.762 0.519 0.329 1
O8 O 0.807 0.000 0.814 1

No. 7
# LiMoP4O13, optimized geometry, DFT PBE with a Hubbard U
# Relative energy among the computed polymorphs, eV/atom: 0.004
# Total energy, eV for the cell shown: -267.340
# Energy of formation from the pure elements, eV per formula unit: -47.1
# Total magnetic moment, μB/f.u.: 1.0
# Space group: P1 (1)
data_LiMoP4O13
_chemical_formula_sum 'Li2 Mo2 P8 O26'
_space_group_name_H-M_alt 'P 1'
_space_group_IT_number 1
_space_group_name_Hall 'P 1'
_cell_length_a 5.208
_cell_length_b 8.048
_cell_length_c 14.394
_cell_angle_alpha 81.71
_cell_angle_beta 82.38
_cell_angle_gamma 80.36
loop_
_atom_site_label
_atom_site_type_symbol
_atom_site_fract_x
_atom_site_fract_y
_atom_site_fract_z
_atom_site_occupancy
Li1 Li 0.000 0.000 0.000 1
Li2 Li 0.424 0.855 0.486 1
Mo1 Mo 0.432 0.432 0.246 1
Mo2 Mo 0.586 0.315 0.729 1
P1 P 0.012 0.261 0.144 1
P2 P 0.168 0.146 0.627 1
P3 P 0.291 0.042 0.288 1
P4 P 0.364 0.952 0.803 1
P5 P 0.659 0.801 0.172 1
P6 P 0.723 0.705 0.694 1
P7 P 0.850 0.599 0.346 1
P8 P 0.998 0.474 0.838 1
O1 O 0.033 0.117 0.238 1
O2 O 0.093 0.182 0.056 1
O3 O 0.150 0.522 0.337 1
O4 O 0.166 0.400 0.163 1
O5 O 0.179 0.008 0.720 1
O6 O 0.208 0.929 0.896 1
O7 O 0.249 0.907 0.367 1
O8 O 0.251 0.064 0.540 1
O9 O 0.297 0.397 0.819 1
O10 O 0.328 0.286 0.642 1
O11 O 0.405 0.196 0.310 1
O12 O 0.470 0.668 0.180 1
O13 O 0.490 0.975 0.201 1
O14 O 0.520 0.772 0.781 1
O15 O 0.565 0.076 0.792 1
O16 O 0.601 0.555 0.670 1
O17 O 0.706 0.455 0.325 1
O18 O 0.713 0.336 0.157 1
O19 O 0.742 0.670 0.435 1
O20 O 0.775 0.837 0.615 1
O21 O 0.808 0.844 0.080 1
O22 O 0.845 0.335 0.814 1
O23 O 0.846 0.740 0.254 1
O24 O 0.873 0.231 0.637 1
O25 O 0.917 0.534 0.930 1
O26 O 0.975 0.623 0.747 1

No. 8
# Li3MoP2O9, optimized geometry, DFT PBE with a Hubbard U
# Total energy, eV for the cell shown: -200.573
# Energy of formation from the pure elements, eV per formula unit: -37.7
# Total magnetic moment, μB/f.u.: 1.0
# Space group: P1 (1)
data_Li3MoP2O9
_chemical_formula_sum 'Li6 Mo2 P4 O18'
_space_group_name_H-M_alt 'P 1'
_space_group_IT_number 1
_space_group_name_Hall 'P 1'
_cell_length_a 7.175
_cell_length_b 7.216
_cell_length_c 8.020
_cell_angle_alpha 88.78
_cell_angle_beta 63.77
_cell_angle_gamma 86.94
loop_
_atom_site_label
_atom_site_type_symbol
_atom_site_fract_x
_atom_site_fract_y
_atom_site_fract_z
_atom_site_occupancy
Li1 Li 0.000 0.000 0.000 1
Li2 Li 0.087 0.254 0.310 1
Li3 Li 0.240 0.492 0.621 1
Li4 Li 0.500 0.420 0.062 1
Li5 Li 0.672 0.084 0.562 1
Li6 Li 0.859 0.749 0.810 1
Mo1 Mo 0.092 0.753 0.301 1
Mo2 Mo 0.580 0.746 0.321 1
P1 P 0.189 0.046 0.567 1
P2 P 0.484 0.993 0.006 1
P3 P 0.709 0.507 0.615 1
P4 P 0.967 0.453 0.056 1
O1 O 0.042 0.553 0.872 1
O2 O 0.073 0.946 0.749 1
O3 O 0.086 0.519 0.173 1
O4 O 0.093 0.991 0.429 1
O5 O 0.193 0.254 0.562 1
O6 O 0.284 0.867 0.070 1
O7 O 0.325 0.641 0.343 1
O8 O 0.406 0.176 0.107 1
O9 O 0.428 0.965 0.474 1
O10 O 0.543 0.604 0.553 1
O11 O 0.599 0.989 0.798 1
O12 O 0.620 0.511 0.823 1
O13 O 0.632 0.879 0.078 1
O14 O 0.727 0.520 0.171 1
O15 O 0.785 0.323 0.513 1
O16 O 0.844 0.851 0.282 1
O17 O 0.900 0.643 0.545 1
O18 O 0.987 0.245 0.064 1

- What is the formula in the second record?
  LiMo2P3O12

- total magnetic moment of number 2 (LiMo2P3O12)?
  4.0 μB/f.u.

- What is the total magnetic moment in the second record?
  4.0 μB/f.u.